Record 1
Here is K3TlF6 after structural relaxation from the Materials Project. Energies are from PBE.

The calculation puts the raw total energy at -4.153 eV/atom. The value obtained for the energy with MP2020 corrections is -4.430 eV per atom. Its crystal system is cubic. For the formation energy from the elements, the calculation gives -2712 meV per atom. The calculation puts the volume at 797.2 Å³/cell.

The structure belongs to space group Pn-3 (No. 201, origin choice 2); the cell edges are 9.2724, 9.2724 and 9.2724 Å and the angles 90.00°, 90.00° and 90.00°. The inequivalent atoms are K at (0.0000, 0.0000, 0.0000), K at (0.2500, 0.2500, 0.2500), K at (0.2500, 0.2500, 0.7500), Tl at (0.0000, 0.0000, 0.5000) and F at (0.0421, 0.5557, 0.7726).



Record 2
Here is K3TlF6 after structural relaxation from the Materials Project. Energies are from PBE.

The calculation puts the raw total energy at -4.149 eV/atom. The value obtained for the energy with MP2020 corrections is -4.426 eV per atom. Its crystal system is cubic. For the formation energy from the elements, the calculation gives -2708 meV per atom. The calculation puts the volume at 6313.7 Å³/cell.

The structure belongs to space group Fd-3 (No. 203, origin choice 2); the cell edges are 18.4826, 18.4826 and 18.4826 Å and the angles 90.00°, 90.00° and 90.00°. The inequivalent atoms are K at (0.0059, 0.0059, 0.2441), K at (0.1132, 0.3750, 0.8750), K at (0.1250, 0.1250, 0.1250), K at (0.1250, 0.1250, 0.6250), Tl at (0.0000, 0.0000, 0.0000), Tl at (0.0000, 0.0000, 0.5000), F at (0.0116, 0.2650, 0.8671) and F at (0.0258, 0.2848, 0.3612).



Record 3
Here is K2YTlF6 after structural relaxation from the Materials Project. Energies are from PBE.

The calculation puts the raw total energy at -5.265 eV/atom. The value obtained for the energy with MP2020 corrections is -5.542 eV per atom. Its crystal system is cubic. For the formation energy from the elements, the calculation gives -3288 meV per atom. The calculation puts the volume at 898.0 Å³/cell.

The structure belongs to space group Fm-3m (No. 225); the cell edges are 9.6478, 9.6478 and 9.6478 Å and the angles 90.00°, 90.00° and 90.00°. The inequivalent atoms are K at (0.2500, 0.2500, 0.2500), Y at (0.0000, 0.0000, 0.0000), Tl at (0.0000, 0.0000, 0.5000) and F at (0.0000, 0.0000, 0.2260).